Model P:
Here is a geometry-optimized Fe5O2F8 structure from Materials Project. Energies are from PBE+U.

a = 4.829 Å, b = 7.990 Å, c = 10.130 Å
α = 71.55°, β = 88.92°, γ = 89.23°
Space group P1 (No. 1)
Asymmetric unit:
Fe 0.000 0.000 0.000
Fe 0.002 0.383 0.803
Fe 0.004 0.781 0.608
Fe 0.464 0.488 0.516
Fe 0.501 0.884 0.298
Fe 0.506 0.680 0.918
Fe 0.530 0.074 0.695
Fe 0.549 0.297 0.088
Fe 0.981 0.175 0.415
Fe 0.985 0.574 0.197
O 0.191 0.533 0.633
O 0.678 0.510 0.093
O 0.807 0.238 0.963
O 0.817 0.024 0.569
F 0.188 0.322 0.239
F 0.193 0.755 0.029
F 0.207 0.954 0.414
F 0.212 0.157 0.807
F 0.288 0.436 0.930
F 0.301 0.255 0.513
F 0.304 0.630 0.332
F 0.305 0.839 0.733
F 0.326 0.063 0.118
F 0.686 0.707 0.483
F 0.698 0.335 0.671
F 0.701 0.924 0.884
F 0.709 0.134 0.275
F 0.792 0.411 0.396
F 0.794 0.610 0.787
F 0.812 0.826 0.188

Values from the calculation:
M_tot (μB per formula unit): 22.0



Model Q:
Here is a geometry-optimized Fe5O2F8 structure from Materials Project. Energies are from PBE+U.

a = 4.820 Å, b = 4.824 Å, c = 16.728 Å
α = 90.00°, β = 106.23°, γ = 90.00°
Space group P2_1/c (No. 14)
Asymmetric unit:
Fe 0.000 0.000 0.000
Fe 0.188 0.013 0.192
Fe 0.373 0.528 0.899
O 0.069 0.676 0.395
F 0.088 0.196 0.292
F 0.307 0.197 0.501
F 0.328 0.713 0.610
F 0.484 0.703 0.790

Values from the calculation:
M_tot (μB per formula unit): 22.0



Which structure is the most stable? The one labeled model P.



Model P:
Here is a geometry-optimized Fe5O2F8 structure from Materials Project. Energies are from PBE+U.

a = 4.789 Å, b = 16.148 Å, c = 4.789 Å
α = 90.00°, β = 90.71°, γ = 90.00°
Space group Pm (No. 6)
Asymmetric unit:
Fe 0.000 0.000 0.000
Fe 0.028 0.401 0.976
Fe 0.037 0.206 0.976
Fe 0.499 0.299 0.444
Fe 0.537 0.095 0.468
Fe 0.568 0.500 0.517
O 0.207 0.313 0.152
O 0.728 0.000 0.264
O 0.845 0.500 0.793
F 0.222 0.097 0.167
F 0.236 0.500 0.185
F 0.304 0.000 0.692
F 0.329 0.198 0.668
F 0.330 0.410 0.672
F 0.724 0.411 0.278
F 0.729 0.201 0.269
F 0.811 0.313 0.757
F 0.838 0.099 0.782

Values from the calculation:
M_tot (μB per formula unit): 22.0



Model Q:
Here is a geometry-optimized Fe5O2F8 structure from Materials Project. Energies are from PBE+U.

a = 4.802 Å, b = 5.780 Å, c = 13.557 Å
α = 78.90°, β = 89.36°, γ = 89.27°
Space group P1 (No. 1)
Asymmetric unit:
Fe 0.000 0.000 0.000
Fe 0.000 0.435 0.805
Fe 0.447 0.531 0.993
Fe 0.477 0.904 0.801
Fe 0.490 0.123 0.196
Fe 0.505 0.713 0.391
Fe 0.510 0.312 0.597
Fe 0.954 0.243 0.401
Fe 0.985 0.837 0.592
Fe 0.993 0.615 0.196
O 0.189 0.685 0.071
O 0.294 0.595 0.865
O 0.784 0.156 0.531
O 0.806 0.534 0.331
F 0.175 0.097 0.855
F 0.190 0.299 0.261
F 0.190 0.923 0.447
F 0.200 0.502 0.650
F 0.283 0.803 0.257
F 0.285 0.396 0.463
F 0.288 0.207 0.056
F 0.296 0.018 0.651
F 0.677 0.633 0.542
F 0.682 0.253 0.732
F 0.682 0.828 0.946
F 0.692 0.441 0.134
F 0.702 0.044 0.336
F 0.772 0.330 0.946
F 0.793 0.927 0.146
F 0.794 0.751 0.733

Values from the calculation:
M_tot (μB per formula unit): 22.0



Model R:
Here is a geometry-optimized Fe5O2F8 structure from Materials Project. Energies are from PBE+U.

a = 8.055 Å, b = 4.769 Å, c = 10.749 Å
α = 90.00°, β = 116.54°, γ = 90.00°
Space group P2_1/c (No. 14)
Asymmetric unit:
Fe 0.000 0.000 0.000
Fe 0.197 0.021 0.787
Fe 0.376 0.027 0.594
O 0.178 0.210 0.608
F 0.022 0.693 0.683
F 0.221 0.694 0.474
F 0.395 0.193 0.423
F 0.420 0.697 0.271

Values from the calculation:
M_tot (μB per formula unit): 22.0



Which structure is the most stable? The one labeled model Q.



Model P:
Here is a geometry-optimized Fe5O2F8 structure from Materials Project. Energies are from PBE+U.

a = 7.988 Å, b = 4.819 Å, c = 10.084 Å
α = 90.00°, β = 108.05°, γ = 90.00°
Space group P2_1 (No. 4)
Asymmetric unit:
Fe 0.041 0.000 0.162
Fe 0.157 0.438 0.447
Fe 0.248 0.941 0.756
Fe 0.337 0.479 0.040
Fe 0.434 0.970 0.348
O 0.181 0.671 0.859
O 0.201 0.153 0.318
F 0.027 0.168 0.730
F 0.094 0.257 0.015
F 0.106 0.771 0.570
F 0.268 0.762 0.161
F 0.319 0.252 0.641
F 0.392 0.650 0.475
F 0.402 0.162 0.924
F 0.484 0.778 0.777

Values from the calculation:
M_tot (μB per formula unit): 22.0



Model Q:
Here is a geometry-optimized Fe5O2F8 structure from Materials Project. Energies are from PBE+U.

a = 4.852 Å, b = 7.964 Å, c = 10.041 Å
α = 70.77°, β = 88.65°, γ = 88.39°
Space group P1 (No. 1)
Asymmetric unit:
Fe 0.000 0.000 0.000
Fe 0.000 0.391 0.800
Fe 0.001 0.802 0.599
Fe 0.450 0.907 0.317
Fe 0.458 0.101 0.723
Fe 0.502 0.687 0.915
Fe 0.504 0.311 0.102
Fe 0.508 0.493 0.494
Fe 0.933 0.587 0.206
Fe 0.981 0.197 0.411
O 0.175 0.977 0.423
O 0.186 0.157 0.829
O 0.686 0.543 0.088
O 0.805 0.426 0.385
F 0.165 0.745 0.042
F 0.183 0.355 0.232
F 0.199 0.555 0.615
F 0.279 0.678 0.318
F 0.282 0.461 0.923
F 0.285 0.244 0.533
F 0.304 0.057 0.132
F 0.309 0.861 0.731
F 0.668 0.752 0.477
F 0.672 0.323 0.689
F 0.684 0.942 0.882
F 0.688 0.123 0.294
F 0.772 0.835 0.195
F 0.774 0.049 0.588
F 0.788 0.234 0.985
F 0.804 0.637 0.772

Values from the calculation:
M_tot (μB per formula unit): 22.0



Model R:
Here is a geometry-optimized Fe5O2F8 structure from Materials Project. Energies are from PBE+U.

a = 5.753 Å, b = 4.794 Å, c = 13.705 Å
α = 90.00°, β = 100.88°, γ = 90.00°
Space group P2_1 (No. 4)
Asymmetric unit:
Fe 0.035 0.000 0.396
Fe 0.148 0.479 0.197
Fe 0.258 0.013 0.011
Fe 0.365 0.529 0.789
Fe 0.444 0.983 0.600
O 0.274 0.701 0.670
O 0.331 0.183 0.133
F 0.053 0.699 0.051
F 0.056 0.299 0.761
F 0.125 0.193 0.539
F 0.193 0.797 0.878
F 0.222 0.299 0.336
F 0.368 0.796 0.453
F 0.440 0.286 0.942
F 0.462 0.705 0.253

Values from the calculation:
M_tot (μB per formula unit): 22.0



Which structure is the most stable? The one labeled model P.



Model P:
Here is a geometry-optimized Fe5O2F8 structure from Materials Project. Energies are from PBE+U.

a = 6.842 Å, b = 6.778 Å, c = 16.028 Å
α = 90.00°, β = 90.32°, γ = 90.00°
Space group C2 (No. 5)
Asymmetric unit:
Fe 0.000 0.000 0.000
Fe 0.000 0.016 0.401
Fe 0.000 0.464 0.500
Fe 0.010 0.494 0.308
Fe 0.013 0.999 0.193
Fe 0.029 0.500 0.899
O 0.003 0.308 0.598
O 0.175 0.999 0.096
F 0.000 0.296 0.000
F 0.000 0.703 0.000
F 0.001 0.704 0.799
F 0.002 0.292 0.802
F 0.002 0.711 0.404
F 0.190 0.001 0.717
F 0.197 0.001 0.287
F 0.205 0.999 0.902
F 0.208 0.005 0.500

Values from the calculation:
M_tot (μB per formula unit): 22.0



Model Q:
Here is a geometry-optimized Fe5O2F8 structure from Materials Project. Energies are from PBE+U.

a = 4.828 Å, b = 8.009 Å, c = 10.173 Å
α = 70.65°, β = 87.93°, γ = 88.55°
Space group P1 (No. 1)
Asymmetric unit:
Fe 0.000 0.000 0.000
Fe 0.003 0.191 0.409
Fe 0.425 0.708 0.905
Fe 0.463 0.298 0.125
Fe 0.473 0.104 0.717
Fe 0.491 0.909 0.317
Fe 0.496 0.507 0.503
Fe 0.945 0.611 0.224
Fe 0.985 0.418 0.813
Fe 0.996 0.796 0.627
O 0.182 0.644 0.799
O 0.286 0.939 0.901
O 0.300 0.124 0.292
O 0.670 0.683 0.326
F 0.161 0.235 0.992
F 0.161 0.452 0.382
F 0.166 0.841 0.188
F 0.179 0.042 0.594
F 0.265 0.558 0.099
F 0.276 0.754 0.482
F 0.283 0.352 0.678
F 0.654 0.470 0.949
F 0.676 0.854 0.747
F 0.685 0.254 0.532
F 0.699 0.049 0.130
F 0.779 0.558 0.638
F 0.779 0.955 0.440
F 0.790 0.163 0.842
F 0.790 0.765 0.036
F 0.793 0.379 0.231

Values from the calculation:
M_tot (μB per formula unit): 22.0



Model R:
Here is a geometry-optimized Fe5O2F8 structure from Materials Project. Energies are from PBE+U.

a = 16.058 Å, b = 4.791 Å, c = 4.789 Å
α = 90.00°, β = 90.00°, γ = 90.00°
Space group Pmn2_1 (No. 31)
Asymmetric unit:
Fe 0.000 0.220 0.000
Fe 0.099 0.768 0.452
Fe 0.194 0.245 0.981
O 0.094 0.053 0.167
F 0.000 0.551 0.268
F 0.000 0.952 0.669
F 0.091 0.461 0.760
F 0.198 0.945 0.667
F 0.200 0.559 0.279

Values from the calculation:
M_tot (μB per formula unit): 22.0



Which structure is the most stable? The one labeled model P.